Compound: KTaB2O6
Source: Materials Project
Functional: GGA-PBE
Structure: relaxed

Lattice parameters (Å, degrees): 3.956 7.496 9.472 90.00 90.00 90.00
Fractional coordinates of all 20 atoms:
1 K 0.524 0.500 0.857
2 K 0.476 0.000 0.357
3 Ta 0.175 0.000 0.757
4 Ta 0.825 0.500 0.257
5 B 0.019 0.666 0.544
6 B 0.981 0.166 0.044
7 B 0.019 0.334 0.544
8 B 0.981 0.834 0.044
9 O 0.148 0.809 0.614
10 O 0.148 0.191 0.614
11 O 0.852 0.309 0.114
12 O 0.645 0.000 0.758
13 O 0.355 0.500 0.258
14 O 0.123 0.184 0.913
15 O 0.123 0.816 0.913
16 O 0.852 0.691 0.114
17 O 0.877 0.316 0.413
18 O 0.953 0.000 0.113
19 O 0.877 0.684 0.413
20 O 0.047 0.500 0.613

## Properties
Its space group is Pmn2_1. The total magnetic moment comes out at 0.00 μB per atom. As for the largest piezoelectric modulus: 0.903 C/m². As for the crystal system: orthorhombic.

Compound: KU2B10O24
Source: Materials Project
Functional: GGA-PBE
Structure: relaxed

Lattice parameters (Å, degrees): 6.529 6.529 25.727 93.47 93.47 119.63
Fractional coordinates of all 74 atoms:
1 K 0.245 0.755 0.750
2 K 0.755 0.245 0.250
3 U 0.772 0.064 0.903
4 U 0.936 0.228 0.597
5 U 0.228 0.936 0.097
6 U 0.064 0.772 0.403
7 B 0.093 0.719 0.901
8 B 0.281 0.907 0.599
9 B 0.907 0.281 0.099
10 B 0.719 0.093 0.401
11 B 0.303 0.280 0.797
12 B 0.720 0.697 0.703
13 B 0.697 0.720 0.203
14 B 0.280 0.303 0.297
15 B 0.342 0.535 0.874
16 B 0.465 0.658 0.626
17 B 0.658 0.465 0.126
18 B 0.535 0.342 0.374
19 B 0.667 0.479 0.924
20 B 0.521 0.333 0.576
21 B 0.333 0.521 0.076
22 B 0.479 0.667 0.424
23 B 0.268 0.140 0.884
24 B 0.860 0.732 0.616
25 B 0.732 0.860 0.116
26 B 0.140 0.268 0.384
27 O 0.802 0.081 0.973
28 O 0.919 0.198 0.527
29 O 0.198 0.919 0.027
30 O 0.081 0.802 0.473
31 O 0.733 0.050 0.833
32 O 0.950 0.267 0.667
33 O 0.267 0.950 0.167
34 O 0.050 0.733 0.333
35 O 0.506 0.224 0.912
36 O 0.776 0.494 0.588
37 O 0.494 0.776 0.088
38 O 0.224 0.506 0.412
39 O 0.684 0.561 0.979
40 O 0.439 0.316 0.521
41 O 0.316 0.439 0.021
42 O 0.561 0.684 0.479
43 O 0.191 0.314 0.896
44 O 0.686 0.809 0.604
45 O 0.809 0.686 0.104
46 O 0.314 0.191 0.396
47 O 0.891 0.713 0.672
48 O 0.287 0.109 0.828
49 O 0.109 0.287 0.328
50 O 0.713 0.891 0.172
51 O 0.300 0.729 0.889
52 O 0.271 0.700 0.611
53 O 0.700 0.271 0.111
54 O 0.729 0.300 0.389
55 O 0.080 0.922 0.902
56 O 0.078 0.920 0.598
57 O 0.920 0.078 0.098
58 O 0.922 0.080 0.402
59 O 0.900 0.509 0.911
60 O 0.491 0.100 0.589
61 O 0.100 0.491 0.089
62 O 0.509 0.900 0.411
63 O 0.597 0.629 0.896
64 O 0.371 0.403 0.604
65 O 0.403 0.371 0.104
66 O 0.629 0.597 0.396
67 O 0.328 0.493 0.817
68 O 0.507 0.672 0.683
69 O 0.672 0.507 0.183
70 O 0.493 0.328 0.317
71 O 0.286 0.220 0.744
72 O 0.780 0.714 0.756
73 O 0.714 0.780 0.256
74 O 0.220 0.286 0.244

## Properties
Its space group is C2/c. The total magnetic moment comes out at 0.14 μB per atom. As for the crystal system: monoclinic.

Q: Which formation energy values were calculated for the entries above? A: -3.00 -2.67, in eV/atom.